1.
Below is an optimized crystal structure of Rb3NbO8, with properties calculated at the PBE-GGA level.

Computed properties:
- maximum piezoelectric response (C/m²) = 0.582

abc: 6.5577 6.5577 6.5577
angles: 113.34 113.34 101.99
Last column: nearest neighbours and their distance in Å.
Positions (direct):
Rb  0.0000  0.0000  0.0000  8 O 2.97-3.01
Rb  0.2500  0.7500  0.5000  4 O 2.86
Rb  0.7500  0.2500  0.5000  4 O 2.86
Nb  0.5000  0.5000  0.0000  8 O 2.04-2.09
O  0.1823  0.4542  0.0000  1 O 1.50
O  0.2744  0.6841  0.0000  1 O 1.50
O  0.3159  0.3159  0.5903  1 O 1.50
O  0.4542  0.1823  0.0000  1 O 1.50
O  0.5458  0.5458  0.7281  1 O 1.50
O  0.6841  0.2744  0.0000  1 O 1.50
O  0.7256  0.7256  0.4097  1 O 1.50
O  0.8177  0.8177  0.2719  1 O 1.50

***

2.
Below is an optimized crystal structure of RbNbO3, with properties calculated at the PBE-GGA level.

abc: 6.5262 6.5262 8.3320
angles: 93.40 93.40 82.93
Last column: nearest neighbours and their distance in Å.
Positions (direct):
Rb  0.2341  0.7659  0.0000  4 O 2.82-2.91
Rb  0.3375  0.3375  0.2638  4 O 2.70-2.96
Rb  0.6625  0.6625  0.7362  4 O 2.70-2.96
Rb  0.7659  0.2341  0.0000  4 O 2.82-2.91
Nb  0.1894  0.8106  0.5000  6 O 1.95-2.10
Nb  0.2583  0.2583  0.6960  3 O 1.84-2.00
Nb  0.7417  0.7417  0.3040  3 O 1.84-2.00
Nb  0.8106  0.1894  0.5000  6 O 1.95-2.10
O  0.0483  0.7129  0.2888  2 Nb 2.00-2.04
O  0.1227  0.1227  0.4477  2 Nb 2.10
O  0.2266  0.5472  0.6023  2 Nb 1.95-2.07
O  0.2871  0.9517  0.7112  2 Nb 2.00-2.04
O  0.3286  0.3286  0.9075  1 Nb 1.84
O  0.4528  0.7734  0.3977  2 Nb 1.95-2.07
O  0.5472  0.2266  0.6023  2 Nb 1.95-2.07
O  0.6714  0.6714  0.0925  1 Nb 1.84
O  0.7129  0.0483  0.2888  2 Nb 2.00-2.04
O  0.7734  0.4528  0.3977  2 Nb 1.95-2.07
O  0.8773  0.8773  0.5523  2 Nb 2.10
O  0.9517  0.2871  0.7112  2 Nb 2.00-2.04

***

3.
Below is an optimized crystal structure of Rb3Nb20O34, with properties calculated at the PBE-GGA level.

abc: 10.5343 6.0825 13.5655
angles: 90.00 104.92 90.00
Last column: nearest neighbours and their distance in Å.
Positions (direct):
Rb  0.0000  0.0000  0.0000  9 O 2.98-3.28
Rb  0.2283  0.5000  0.1299  9 O 3.04-3.16
Rb  0.5333  0.5000  0.0024  7 O 2.90-3.20
Nb  0.0516  0.0000  0.6484  5 O 2.13-2.27
Nb  0.1114  0.0000  0.2910  6 O 2.00-2.16
Nb  0.1262  0.5000  0.8315  6 O 2.06-2.20
Nb  0.1888  0.5000  0.4719  5 O 2.11-2.28
Nb  0.3110  0.0000  0.8894  4 O 1.88-1.92
Nb  0.3238  0.2715  0.6493  5 O 2.11-2.27
Nb  0.3238  0.7285  0.6493  5 O 2.11-2.27
Nb  0.4179  0.2716  0.4715  5 O 2.10-2.27
Nb  0.4179  0.7284  0.4715  5 O 2.10-2.27
Nb  0.4312  0.0000  0.2316  4 O 1.87-1.91
Nb  0.5527  0.5000  0.6490  5 O 2.11-2.26
Nb  0.6173  0.5000  0.2900  6 O 2.03-2.18
Nb  0.6284  0.0000  0.8328  6 O 2.07-2.15
Nb  0.6903  0.0000  0.4720  5 O 2.12-2.27
Nb  0.8175  0.5000  0.8869  4 O 1.88-1.92
Nb  0.8237  0.2269  0.6479  5 O 2.12-2.26
Nb  0.8237  0.7731  0.6479  5 O 2.12-2.26
Nb  0.9173  0.2278  0.4727  5 O 2.13-2.29
Nb  0.9173  0.7722  0.4727  5 O 2.13-2.29
Nb  0.9259  0.5000  0.2305  4 O 1.88-1.92
O  0.0025  0.5000  0.9379  1 Nb 1.89
O  0.0053  0.2484  0.1905  1 Nb 1.89
O  0.0053  0.7516  0.1905  1 Nb 1.89
O  0.0164  0.2528  0.7468  3 Nb 2.06-2.13
O  0.0164  0.7472  0.7468  3 Nb 2.06-2.13
O  0.1218  0.2505  0.5606  4 Nb 2.16-2.18
O  0.1218  0.7495  0.5606  4 Nb 2.16-2.18
O  0.2266  0.2464  0.3768  3 Nb 2.08-2.11
O  0.2266  0.7536  0.3768  3 Nb 2.08-2.11
O  0.2421  0.2549  0.9362  1 Nb 1.89
O  0.2421  0.7451  0.9362  1 Nb 1.89
O  0.2455  0.0000  0.1939  1 Nb 1.89
O  0.2631  0.5000  0.7448  3 Nb 2.08-2.11
O  0.2637  0.0000  0.7429  1 Nb 1.92
O  0.3707  0.0000  0.5604  4 Nb 2.18
O  0.4781  0.0000  0.3775  1 Nb 1.91
O  0.4784  0.5000  0.3761  3 Nb 2.09-2.11
O  0.4954  0.2608  0.1887  1 Nb 1.87
O  0.4954  0.7392  0.1887  1 Nb 1.87
O  0.4959  0.0000  0.9279  1 Nb 1.88
O  0.5161  0.2463  0.7444  3 Nb 2.09-2.11
O  0.5161  0.7537  0.7444  3 Nb 2.09-2.11
O  0.6198  0.2500  0.5600  4 Nb 2.16-2.18
O  0.6198  0.7500  0.5600  4 Nb 2.16-2.18
O  0.7237  0.2571  0.3757  3 Nb 2.03-2.13
O  0.7237  0.7429  0.3757  3 Nb 2.03-2.13
O  0.7411  0.5000  0.1907  2 Nb 1.88-2.10
O  0.7440  0.2462  0.9290  1 Nb 1.88
O  0.7440  0.7538  0.9290  1 Nb 1.88
O  0.7622  0.0000  0.7450  3 Nb 2.07-2.12
O  0.7651  0.5000  0.7405  1 Nb 1.92
O  0.8714  0.5000  0.5604  4 Nb 2.17
O  0.9760  0.5000  0.3768  1 Nb 1.92
O  0.9822  0.0000  0.3763  3 Nb 2.00-2.13

***

4.
Below is an optimized crystal structure of RbNbO3, with properties calculated at the PBE-GGA level.

abc: 4.0989 4.0989 4.0989
angles: 90.00 90.00 90.00
Last column: nearest neighbours and their distance in Å.
Positions (direct):
Rb  0.0000  0.0000  0.0000  12 O 2.90
Nb  0.5000  0.5000  0.5000  6 O 2.05
O  0.0000  0.5000  0.5000  2 Nb 2.05
O  0.5000  0.0000  0.5000  2 Nb 2.05
O  0.5000  0.5000  0.0000  2 Nb 2.05

***

The calculation returns the following calculated formation energy values, one per record and in order: -162 -272 -258 -266 kJ/mol of atoms.